Record 1
VASP calculation (GGA-PBE) on crystalline CsHoCoSe3 at its relaxed geometry.

extended XYZ file:
```
12
Lattice="2.054 -8.129 0.000 2.054 8.129 0.000 0.000 0.000 10.863" Properties=species:S:1:pos:R:3 pbc="T T T"
Cs 2.054 4.221 8.147
Cs 2.054 -4.221 2.716
Ho 2.054 0.000 0.000
Ho 2.054 0.000 5.432
Co 2.054 7.578 2.716
Co 2.054 -7.578 8.147
Se 2.054 6.270 0.708
Se 2.054 6.270 4.723
Se 2.054 0.860 2.716
Se 2.054 -0.860 8.147
Se 2.054 -6.270 6.140
Se 2.054 -6.270 10.155
```

Output
Total DFT energy (no corrections) (eV/atom): -5.021
Calculated formation energy (eV/atom): -1.41

=====

Record 2
VASP calculation (GGA-PBE) on crystalline LiYSe2 at its relaxed geometry.

extended XYZ file:
```
16
Lattice="5.699 0.000 0.000 0.000 5.699 0.000 0.000 0.000 11.592" Properties=species:S:1:pos:R:3 pbc="T T T"
Li 0.000 1.425 4.347
Li 0.000 4.274 7.245
Li 2.850 1.425 1.449
Li 2.850 4.274 10.143
Y 0.000 1.425 10.143
Y 0.000 4.274 1.449
Y 2.850 1.425 7.245
Y 2.850 4.274 4.347
Se 0.000 1.425 1.412
Se 0.000 1.425 7.282
Se 0.000 4.274 4.310
Se 0.000 4.274 10.180
Se 2.850 1.425 4.384
Se 2.850 1.425 10.105
Se 2.850 4.274 1.486
Se 2.850 4.274 7.208
```

Output
Total DFT energy (no corrections) (eV/atom): -5.524
Calculated formation energy (eV/atom): -1.92